(1)
## Li4Mn3Co2Sb3O16 (PBE+U)

Data for a relaxed structure of Li4Mn3Co2Sb3O16.

Calculated values
* E: -6.281 eV/atom
* formation energy: -1937 meV per atom

Cell and atoms, written as extended XYZ:
```
28
Lattice="5.3767 -3.0484 0.0000 5.3767 3.0484 0.0000 -0.1368 0.0000 9.8139" Properties=species:S:1:pos:R:3 pbc="T T T"
Li 0.0000 0.0000 0.0000
Li 0.0158 0.0000 5.0388
Li 3.4868 0.0000 6.1867
Li 7.1757 0.0000 1.0738
Mn 1.7200 0.0000 2.8380
Mn 6.1182 1.5062 7.7635
Mn 6.1182 -1.5062 7.7635
Co 3.3291 0.0000 9.7611
Co 6.9410 0.0000 5.1501
Sb 4.3768 1.5034 2.8552
Sb 4.3768 -1.5034 2.8552
Sb 8.7456 0.0000 7.7636
O 2.7480 1.3776 1.7313
O 4.2896 1.6110 8.8762
O 1.4772 0.0000 8.7816
O 6.0707 1.5947 3.9238
O 3.6243 0.0000 4.0187
O 5.1514 0.0000 1.7075
O 2.7480 -1.3776 1.7313
O 7.8356 1.3593 6.5695
O 5.4660 0.0000 6.6974
O 7.0800 0.0000 8.9004
O 4.2896 -1.6110 8.8762
O 6.0707 -1.5947 3.9238
O 8.9885 0.0000 3.9692
O 7.8356 -1.3593 6.5695
O 10.5450 0.0000 1.8024
O 10.4927 0.0000 6.7856
```

(2)
## Li4Mn2Co3Sb3O16 (PBE+U)

Data for a relaxed structure of Li4Mn2Co3Sb3O16.

Calculated values
* E: -6.105 eV/atom
* formation energy: -1834 meV per atom

Cell and atoms, written as extended XYZ:
```
28
Lattice="6.0596 0.0000 0.0000 2.9988 5.3232 0.0000 0.3393 -0.1683 9.7537" Properties=species:S:1:pos:R:3 pbc="T T T"
Li 0.0000 0.0000 0.0000
Li 0.2320 -0.0731 4.7299
Li 3.2629 1.7705 1.0312
Li 6.3771 3.4264 5.7150
Mn 3.4221 1.5891 4.7496
Mn 6.3451 3.4599 0.0722
Co 4.9762 0.6843 7.5231
Co 6.3570 1.7405 2.7124
Co 7.8499 4.3223 2.6307
Sb 1.9888 0.6610 7.5514
Sb 3.4726 3.2888 7.5425
Sb 4.8649 4.3972 2.6628
O 3.3254 5.2723 1.7448
O 3.4850 5.0499 6.5376
O 2.0711 2.3628 6.3443
O 3.3696 3.5552 3.7332
O 1.8213 0.7440 3.8154
O 4.9050 4.2413 8.6602
O 3.4244 1.5959 8.6633
O 4.7689 2.4143 6.3461
O 3.4061 -0.0406 6.4158
O 6.2849 5.1448 1.4448
O 5.0023 2.8048 1.3440
O 6.3210 3.5384 3.7346
O 4.8464 0.7648 3.7402
O 8.0989 4.1536 8.6534
O 6.5848 1.4303 8.6286
O 7.6979 2.8241 1.4740
```

(3)
## Li4Mn3Co3Sb2O16 (PBE+U)

Data for a relaxed structure of Li4Mn3Co3Sb2O16.

Calculated values
* E: -6.274 eV/atom
* formation energy: -1882 meV per atom
* distance to the lowest polymorph of the same formula: 0.0110 eV/atom

Cell and atoms, written as extended XYZ:
```
56
Lattice="5.9162 0.0000 0.0000 -2.9269 5.2002 0.0000 -0.0907 -0.2274 19.3880" Properties=species:S:1:pos:R:3 pbc="T T T"
Li 0.0000 0.0000 0.0000
Li 5.8255 -0.1348 14.5277
Li -0.0229 0.0420 4.8387
Li -0.0209 -0.0200 9.7005
Li -0.0546 3.4841 5.6333
Li -0.0589 3.4560 15.3633
Li 2.9573 1.7493 0.7977
Li 2.9484 1.7272 10.5333
Mn 1.4573 4.3210 2.6659
Mn 1.3959 4.2562 12.3618
Mn 2.8774 3.4289 7.5033
Mn 2.8646 3.2719 17.1736
Mn 4.3158 0.7257 17.2152
Mn 4.4183 0.9182 7.5114
Co -0.0104 1.7782 2.6467
Co -1.4466 4.3413 2.6674
Co -1.4945 4.2415 12.3295
Co -0.0623 1.7094 12.3968
Co 1.4011 0.7311 17.2147
Co 1.5093 0.8298 7.5136
Sb -0.0325 3.4446 0.0065
Sb -0.0092 3.4427 9.7190
Sb 2.8469 1.6278 14.5462
Sb 2.9131 1.7436 4.8553
O -0.0140 -0.0030 6.6955
O -1.3958 2.8092 1.4339
O -1.3728 2.7105 11.0089
O -0.1796 1.4826 18.3928
O -1.5993 4.0902 18.3273
O -0.0765 1.7090 8.7034
O -1.4141 4.4406 8.6790
O 1.3507 0.7770 13.5852
O 1.4708 0.8035 3.7617
O -0.0315 3.5472 3.6122
O -0.0533 3.5189 13.3497
O 1.2155 2.5163 1.3413
O 1.4632 2.2940 6.2012
O 0.1299 5.0183 1.2924
O 0.0554 4.9938 11.1207
O 1.3320 2.7377 11.1299
O 1.5797 2.4815 15.9542
O 2.9319 0.1164 15.9098
O 3.1089 0.1840 6.1812
O 1.4406 4.0120 18.3604
O 2.9264 1.7148 8.4491
O 1.5202 4.2368 8.6936
O 2.9358 1.6533 18.1656
O 2.8116 3.4974 3.8783
O 2.8220 3.3818 13.4727
O 4.3339 0.7306 13.4928
O 4.4685 1.0298 3.8168
O 4.1452 2.6808 6.2065
O 4.1496 2.5371 15.8645
O 2.8212 4.9911 16.3525
O 2.8991 5.0546 11.5245
O 2.9788 5.1424 1.8386
```

(4)
## Li4Mn2Co3Te3O16 (PBE+U)

Data for a relaxed structure of Li4Mn2Co3Te3O16.

Calculated values
* E: -5.876 eV/atom
* formation energy: -1710 meV per atom

Cell and atoms, written as extended XYZ:
```
28
Lattice="6.1342 0.0000 0.0000 2.9794 5.4408 0.0000 0.0401 0.4034 9.9616" Properties=species:S:1:pos:R:3 pbc="T T T"
Li 0.0000 0.0000 0.0000
Li 3.0794 5.4976 5.1186
Li 3.0176 1.8779 4.0470
Li 6.1609 3.7284 8.7705
Mn 3.3063 1.9033 9.7607
Mn 6.3109 3.8497 5.1639
Co 3.1736 3.7489 7.2219
Co 4.7329 1.0158 7.1976
Co 7.6881 4.6559 2.1928
Te 1.6994 1.0292 7.1895
Te 4.6366 4.6138 2.1765
Te 6.2260 1.9902 2.2552
O 3.2137 5.6547 8.1795
O 3.2267 5.3727 3.2940
O 1.8136 2.6086 8.4394
O 3.1993 3.8530 1.1471
O 1.7316 0.7031 0.9516
O 4.6132 4.8230 6.1054
O 3.1072 1.8666 6.1066
O 6.0915 5.6923 8.3057
O 6.0319 5.3289 3.2981
O 4.7344 2.9193 3.3306
O 4.5419 2.5796 8.3788
O 6.0577 3.6977 1.0899
O 4.6741 0.8688 0.9595
O 7.8000 4.8472 6.1982
O 6.3780 1.8413 6.1211
O 7.5221 2.9290 3.4282
```

(5)
## Li4Mn3Co2Te3O16 (PBE+U)

Data for a relaxed structure of Li4Mn3Co2Te3O16.

Calculated values
* E: -5.992 eV/atom
* formation energy: -1754 meV per atom

Cell and atoms, written as extended XYZ:
```
28
Lattice="6.2606 0.0000 0.0000 3.1276 5.4406 0.0000 0.2156 0.0556 9.8315" Properties=species:S:1:pos:R:3 pbc="T T T"
Li 0.0000 0.0000 0.0000
Li 3.2296 5.4028 5.0096
Li 3.1533 1.5942 1.0754
Li 6.3907 3.5694 6.1833
Mn 3.3856 3.6389 7.7620
Mn 4.9132 0.9297 7.7577
Mn 7.9731 4.4622 2.8413
Co 3.3946 1.9701 5.1203
Co 6.5058 3.6373 0.0146
Te 1.8464 0.9590 7.7600
Te 4.8891 4.4689 2.8216
Te 6.4083 1.7959 2.8512
O 0.3066 0.2084 6.7856
O 1.9427 2.6246 6.6872
O 1.5366 1.0329 4.0006
O 3.3158 3.6950 4.0705
O 4.8809 4.6888 8.7974
O 3.3302 1.6592 8.8640
O 3.1743 0.2098 6.5242
O 4.6914 2.5885 6.7192
O 6.3755 5.0928 1.4978
O 5.0017 2.6489 1.6829
O 6.3882 3.4403 3.9853
O 5.0199 0.9864 3.9614
O 8.2355 4.6472 8.7552
O 6.7174 1.7779 8.8913
O 7.7168 2.6020 1.6761
O 6.3477 0.1463 1.7987
```

(6)
## Li4Mn3Co3Te2O16 (PBE+U)

Data for a relaxed structure of Li4Mn3Co3Te2O16.

Calculated values
* E: -6.147 eV/atom
* formation energy: -1825 meV per atom

Cell and atoms, written as extended XYZ:
```
28
Lattice="5.9601 0.0000 0.0000 2.9705 5.2065 0.0000 0.1083 0.0734 9.8333" Properties=species:S:1:pos:R:3 pbc="T T T"
Li 0.0000 0.0000 0.0000
Li 0.0665 0.0507 4.9329
Li 3.0016 1.7498 0.7040
Li 6.0724 3.5402 5.6363
Mn 1.6352 0.9704 7.6322
Mn 4.5598 4.3717 2.6942
Mn 6.0257 1.8140 2.6936
Co 3.1092 3.5111 7.5831
Co 4.5349 0.9854 7.5360
Co 7.4683 4.3626 2.6399
Te 3.0946 1.8233 4.9330
Te 5.9761 3.4991 0.0108
O 0.1365 0.0858 1.8749
O 1.7671 2.5813 6.1898
O 3.0898 3.5045 3.8988
O 1.6546 0.9673 3.9179
O 4.6436 4.4228 8.8072
O 3.1266 1.7439 8.5480
O 3.1183 0.2679 6.2101
O 4.4332 2.5581 6.2235
O 4.6458 2.7156 1.2444
O 5.9691 5.0369 1.3005
O 5.9513 3.4767 3.6329
O 4.5407 0.9634 3.8949
O 7.5342 4.4150 8.8384
O 6.0950 1.8786 8.8048
O 7.3041 2.7143 1.2870
O 6.0634 0.1528 6.8021
```

(7)
## Li4Ti4MnCo4O18 (PBE+U)

Data for a relaxed structure of Li4Ti4MnCo4O18.

Calculated values
* E: -7.046 eV/atom
* formation energy: -2359 meV per atom

Cell and atoms, written as extended XYZ:
```
62
Lattice="9.0091 0.0000 0.0000 0.0000 24.6709 0.0000 0.0000 0.0000 2.8878" Properties=species:S:1:pos:R:3 pbc="T T T"
Li 1.6054 0.1467 0.0000
Li 1.8330 19.7895 0.0000
Li 2.6715 7.4540 0.0000
Li 2.8992 12.4821 0.0000
Li 6.1099 12.1888 0.0000
Li 6.3376 17.2169 0.0000
Li 7.1760 4.8815 0.0000
Li 7.4037 24.5243 0.0000
Ti 0.1609 22.1305 0.0000
Ti 1.3752 4.7771 1.4439
Ti 3.1293 17.1125 1.4439
Ti 4.3436 9.7951 0.0000
Ti 4.6655 14.8759 0.0000
Ti 5.8798 7.5584 1.4439
Ti 7.6338 19.8939 1.4439
Ti 8.8482 2.5404 0.0000
Mn 0.0000 12.3355 0.0000
Mn 4.5045 0.0000 0.0000
Co 0.0928 16.9112 0.0000
Co 1.2236 10.2356 1.4439
Co 3.2810 22.5710 1.4439
Co 4.4117 4.5757 0.0000
Co 4.5974 20.0952 0.0000
Co 5.7281 2.0999 1.4439
Co 7.7855 14.4354 1.4439
Co 8.9163 7.7598 0.0000
O 0.0181 14.2556 0.0000
O 0.3380 1.3893 1.4439
O 0.5072 20.6880 1.4439
O 1.0083 8.3758 1.4439
O 1.0570 6.0366 0.0000
O 1.2103 17.4865 1.4439
O 1.3104 12.1928 1.4439
O 1.6041 3.4846 0.0000
O 2.0030 22.5657 0.0000
O 2.5015 10.2302 0.0000
O 2.9005 15.8200 0.0000
O 3.1942 24.5283 1.4439
O 3.2943 5.1510 1.4439
O 3.4476 18.3721 0.0000
O 3.4963 20.7113 1.4439
O 3.9973 8.3525 1.4439
O 4.1666 13.7248 1.4439
O 4.4864 1.9201 0.0000
O 4.5227 22.7508 0.0000
O 4.8425 10.9461 1.4439
O 5.0118 16.3184 1.4439
O 5.5128 3.9596 1.4439
O 5.5615 6.2989 0.0000
O 5.7148 19.5199 1.4439
O 5.8149 0.1426 1.4439
O 6.1086 8.8509 0.0000
O 6.5076 14.4407 0.0000
O 7.0061 2.1053 0.0000
O 7.4050 21.1864 0.0000
O 7.6987 12.4781 1.4439
O 7.7988 7.1845 1.4439
O 7.9521 18.6343 0.0000
O 8.0008 16.2951 1.4439
O 8.5019 3.9829 1.4439
O 8.6711 23.2816 1.4439
O 8.9909 10.4154 0.0000
```

(8)
## Li10Ti2Mn3Co3O16 (PBE+U)

Data for a relaxed structure of Li10Ti2Mn3Co3O16.

Calculated values
* E: -6.341 eV/atom
* formation energy: -2166 meV per atom

Cell and atoms, written as extended XYZ:
```
34
Lattice="5.9224 0.0000 0.0000 -2.8974 5.2968 0.0000 -0.1373 -0.2504 9.9531" Properties=species:S:1:pos:R:3 pbc="T T T"
Li 0.0000 0.0000 0.0000
Li -0.1813 0.1097 4.8587
Li -1.3486 4.2835 5.5848
Li -0.0931 2.1731 5.5425
Li -0.1091 3.5250 7.7967
Li 1.6719 1.2443 0.6139
Li 1.0809 4.3149 5.5532
Li 2.9254 1.9373 2.7408
Li 3.0437 3.2753 0.5789
Li 4.2721 1.1320 0.7159
Ti 0.0391 3.8152 0.5044
Ti 2.8405 1.9459 5.3097
Mn -0.0317 1.9281 2.9394
Mn 1.3476 0.8821 7.8922
Mn 4.3044 0.8578 7.9105
Co -1.5060 4.5420 2.9527
Co 1.4010 4.5220 2.9602
Co 2.8513 3.4472 7.9263
O -0.1016 0.1181 1.8679
O -0.1521 0.0503 6.8392
O -1.3827 2.8251 1.6404
O -0.1165 1.5013 9.1359
O -1.5418 4.1041 9.2737
O -0.1029 3.6656 4.1286
O 1.3640 1.0543 4.3142
O 2.8790 0.0649 1.6095
O 1.4150 2.8405 1.6239
O 2.8148 0.1442 6.7393
O 1.4485 2.6702 6.6155
O 1.3159 4.1590 9.2807
O 2.8480 1.5677 9.0555
O 4.1697 0.9899 4.2869
O 2.8624 3.5758 4.2921
O 4.2330 2.6335 6.6041
```